[1]
Computed, not measured: LaMgS3 after structural relaxation at the PBE-GGA level of DFT.

Calculated values
E_tot	-103.9	eV/cell
MP2020-corrected energy	-109.9	eV for the cell shown
density	3.68	Mg/m³
formation energy	-1708	meV/atom

Cell lengths 8.4492, 11.3710, 4.9951 Å; angles 90.00, 102.75, 90.00 degrees
Closest atoms and distances in Å follow each position.
Space group C2/m (No. 12)
Symmetry-distinct sites (fractional):
La1 0.1600 0.0000 0.3167  8 S 2.96-3.05
Mg1 0.0000 0.3023 0.0000  4 S 2.47-2.68
S1 0.0075 0.5000 0.2938  1 S 2.09
S2 0.1433 0.1474 0.8017  1 Mg 2.47



[2]
Computed, not measured: Mg2AlW3S8 after structural relaxation at the PBE-GGA level of DFT.

Calculated values
E_tot	-90.0	eV/cell
MP2020-corrected energy	-94.1	eV for the cell shown
density	5.51	Mg/m³
formation energy	-1082	meV/atom

Cell lengths 6.9488, 7.0289, 7.4385 Å; angles 90.26, 117.84, 119.56 degrees
Closest atoms and distances in Å follow each position.
Space group P1 (No. 1)
Symmetry-distinct sites (fractional):
Mg1 0.0000 0.0000 0.0000  4 S 2.46-2.49
Mg2 0.4977 0.7489 0.2470  4 S 2.34-2.46
Al1 0.6864 0.3453 0.0290  6 S 2.38-2.51
W1 0.1861 0.3934 0.5831  5 S 2.36-2.61
W2 0.1997 0.8128 0.5870  6 S 2.37-2.64
W3 0.7890 0.3932 0.5839  5 S 2.36-2.61
S1 0.1659 0.5847 0.3193  1 Mg 2.34, 2 W 2.37-2.40, 1 Al 2.51
S2 0.2207 0.1167 0.8031  1 Al 2.38, 1 Mg 2.46, 2 W 2.57-2.58
S3 0.2400 0.6267 0.8549  3 W 2.36-2.37, 1 Mg 2.46
S4 0.2669 0.1366 0.3979  1 Mg 2.49, 3 W 2.64-2.68
S5 0.6936 0.5862 0.8033  1 Al 2.39, 1 Mg 2.46, 2 W 2.61
S6 0.6978 0.1161 0.8034  1 Al 2.38, 1 Mg 2.46, 2 W 2.57-2.58
S7 0.7276 0.1475 0.3095  1 Mg 2.34, 2 W 2.40, 1 Al 2.50
S8 0.7382 0.5853 0.3208  1 Mg 2.34, 2 W 2.37-2.40, 1 Al 2.51



[3]
Computed, not measured: BaP2PdO7 after structural relaxation at the PBE-GGA level of DFT.

Calculated values
E_tot	-305.9	eV/cell
MP2020-corrected energy	-325.1	eV for the cell shown
density	4.14	Mg/m³
formation energy	-2611	meV/atom

Cell lengths 14.0193, 6.2711, 7.6139 Å; angles 90.00, 90.00, 90.00 degrees
Closest atoms and distances in Å follow each position.
Space group Pnma (No. 62)
Symmetry-distinct sites (fractional):
Ba1 0.2392 0.2500 0.2469  6 O 2.65-2.82
P1 0.0848 0.7500 0.1825  4 O 1.50-1.63
P2 0.1187 0.2500 0.7778  4 O 1.51-1.63
Pd1 0.0000 0.0000 0.5000  4 O 2.04-2.06
O1 0.0231 0.2500 0.8990  2 P 1.63
O2 0.0920 0.5428 0.2946  1 P 1.56
O3 0.1157 0.0448 0.6624  1 P 1.56
O4 0.1565 0.7500 0.0365  1 P 1.50
O5 0.2043 0.2500 0.8973  1 P 1.51



[4]
Computed, not measured: ErGeRh after structural relaxation at the PBE-GGA level of DFT.

Calculated values
E_tot	-78.1	eV/cell
density	10.18	Mg/m³
formation energy	-990	meV/atom

Cell lengths 6.8850, 4.3020, 7.5536 Å; angles 90.00, 90.00, 90.00 degrees
Closest atoms and distances in Å follow each position.
Space group Pnma (No. 62)
Symmetry-distinct sites (fractional):
Er1 0.0032 0.2500 0.1955  5 Ge 3.00-3.01, 6 Rh 3.00-3.33
Ge1 0.2135 0.7500 0.3940  4 Rh 2.55-2.62
Rh1 0.1563 0.2500 0.5674  4 Ge 2.55-2.62



[5]
Computed, not measured: InO2 after structural relaxation at the PBE-GGA level of DFT.

Calculated values
E_tot	-31.2	eV/cell
MP2020-corrected energy	-33.9	eV for the cell shown
density	6.26	Mg/m³
formation energy	-1434	meV/atom

Cell lengths 4.3643, 5.2601, 3.3950 Å; angles 90.00, 90.00, 90.00 degrees
Closest atoms and distances in Å follow each position.
Space group Pnnm (No. 58)
Symmetry-distinct sites (fractional):
In1 0.0000 0.0000 0.0000  6 O 2.19-2.21
O1 0.2105 0.3772 0.0000  3 In 2.19-2.21, 1 O 2.25



[6]
Computed, not measured: MgAgBiO5 after structural relaxation at the PBE-GGA level of DFT.

Calculated values
E_tot	-163.0	eV/cell
MP2020-corrected energy	-176.8	eV for the cell shown
density	5.78	Mg/m³
formation energy	-1391	meV/atom

Cell lengths 5.6692, 10.7278, 9.3893 Å; angles 90.00, 121.99, 90.00 degrees
Closest atoms and distances in Å follow each position.
Space group P2_1/c (No. 14)
Symmetry-distinct sites (fractional):
Mg1 0.0906 0.0612 0.1737  5 O 1.98-2.16
Ag1 0.3145 0.6232 0.0322  4 O 2.01-2.12
Bi1 0.4150 0.1015 0.8393  6 O 2.11-2.24
O1 0.0122 0.0281 0.6669  1 Ag 2.07, 1 Mg 2.10, 1 Bi 2.13
O2 0.2087 0.6954 0.4691  1 Ag 2.03, 1 Mg 2.08, 1 Bi 2.18
O3 0.2686 0.0449 0.0064  2 Mg 2.16-2.28, 2 Bi 2.21-2.24
O4 0.3310 0.2060 0.2930  1 Mg 1.98, 1 Ag 2.01, 1 Bi 2.11
O5 0.4706 0.5396 0.8320  1 Ag 2.12, 1 Bi 2.13, 1 Mg 2.15



What did the fifth record say?
Computed, not measured: InO2 after structural relaxation at the PBE-GGA level of DFT.

Calculated values
E_tot	-31.2	eV/cell
MP2020-corrected energy	-33.9	eV for the cell shown
density	6.26	Mg/m³
formation energy	-1434	meV/atom

Cell lengths 4.3643, 5.2601, 3.3950 Å; angles 90.00, 90.00, 90.00 degrees
Closest atoms and distances in Å follow each position.
Space group Pnnm (No. 58)
Symmetry-distinct sites (fractional):
In1 0.0000 0.0000 0.0000  6 O 2.19-2.21
O1 0.2105 0.3772 0.0000  3 In 2.19-2.21, 1 O 2.25



Which of these has the lowest E_tot?
BaP2PdO7